First-principles (PBE with a Hubbard U) data for an optimized crystal structure of CrHO2, as listed in Materials Project.

Results
Maximum piezoelectric response, C/m²: 1.217
Energy with MP2020 corrections, eV per atom: -7.709
ΔH_f (0 K), meV per atom: -1973.5
Mass density, g/cm³: 4.29
Space-group type: No. 31

Cell lengths 3.0408, 4.3696, 4.9485 Å; angles 90.00, 90.00, 90.00 degrees
With the nearest neighbours (Å) after each atom.
Atoms (fractional coordinates):
1 Cr 0.0000 0.2366 0.0000  6 O 2.01-2.08
2 Cr 0.5000 0.7634 0.5000  6 O 2.01-2.08
3 H 0.0000 0.2909 0.4837  1 O 1.06
4 H 0.5000 0.7091 0.9837  1 O 1.06
5 O 0.0000 0.0144 0.6440  1 H 1.45
6 O 0.0000 0.4875 0.3571  1 H 1.06
7 O 0.5000 0.5125 0.8571  1 H 1.06
8 O 0.5000 0.9856 0.1440  1 H 1.45